Record 1
Li2UBr6: relaxed, GGA-PBE.

* spin magnetization: 8.000 μB per cell
* ρ: 4.2 g cm⁻³
* E_form: -1774 meV/atom
* total DFT energy (no corrections): -4.188 eV per atom
* energy with MP2020 corrections: -163.6 eV per cell
* relative energy among the computed polymorphs: 29 meV per atom

a b c (Å): 7.1138 24.1118 7.1569
angles (deg): 90.00 110.70 90.00
Positions (direct):
Li  0.0000  0.0000  0.0000
Li  0.0000  0.0811  0.5000
Li  0.0000  0.5830  0.5000
Li  0.5000  0.2461  0.0000
Li  0.5000  0.3379  0.5000
Li  0.5000  0.4954  0.5000
Li  0.5000  0.7441  0.0000
Li  0.5000  0.8374  0.5000
U  0.0000  0.1675  0.0000
U  0.0000  0.4154  0.5000
U  0.0000  0.6659  0.0000
U  0.0000  0.9151  0.5000
Br  0.2281  0.0828  0.2491
Br  0.2313  0.1665  0.7568
Br  0.2305  0.9989  0.7467
Br  0.2321  0.6669  0.7570
Br  0.2335  0.9159  0.2564
Br  0.2347  0.5853  0.2587
Br  0.2463  0.4164  0.2655
Br  0.2541  0.5003  0.7222
Br  0.2636  0.3343  0.7291
Br  0.2662  0.8345  0.7248
Br  0.2669  0.7480  0.2225
Br  0.2692  0.2482  0.2262
Br  0.7308  0.2482  0.7738
Br  0.7331  0.7480  0.7775
Br  0.7338  0.8345  0.2752
Br  0.7364  0.3343  0.2709
Br  0.7459  0.5003  0.2778
Br  0.7537  0.4164  0.7345
Br  0.7653  0.5853  0.7413
Br  0.7665  0.9159  0.7436
Br  0.7679  0.6669  0.2430
Br  0.7687  0.1665  0.2432
Br  0.7695  0.9989  0.2533
Br  0.7719  0.0828  0.7509

---

Record 2
Li2UBr6: relaxed, GGA-PBE.

* spin magnetization: 6.000 μB per cell
* ρ: 3.8 g cm⁻³
* E_form: -1739 meV/atom
* total DFT energy (no corrections): -4.153 eV per atom
* energy with MP2020 corrections: -121.8 eV per cell
* relative energy among the computed polymorphs: 64 meV per atom

a b c (Å): 19.3943 19.3943 7.4215
angles (deg): 93.15 93.15 158.94
Positions (direct):
Li  0.0422  0.0422  0.3026
Li  0.1989  0.5436  0.6509
Li  0.4564  0.8011  0.3491
Li  0.5378  0.2139  0.6640
Li  0.7861  0.4622  0.3360
Li  0.9578  0.9578  0.6974
U  0.1082  0.8918  0.0000
U  0.4406  0.5594  0.5000
U  0.7720  0.2280  0.0000
Br  0.0277  0.4814  0.7784
Br  0.0608  0.4142  0.2621
Br  0.0843  0.2041  0.2215
Br  0.2464  0.4608  0.7097
Br  0.2693  0.1593  0.2266
Br  0.3037  0.3157  0.6599
Br  0.3627  0.1494  0.7800
Br  0.3994  0.0840  0.2677
Br  0.4912  0.0495  0.7642
Br  0.5186  0.9723  0.2216
Br  0.5392  0.7536  0.2903
Br  0.5858  0.9392  0.7379
Br  0.6843  0.6963  0.3401
Br  0.7959  0.9157  0.7785
Br  0.8407  0.7307  0.7734
Br  0.8506  0.6373  0.2200
Br  0.9160  0.6006  0.7323
Br  0.9505  0.5088  0.2358

---

Record 3
Li2ZnBr4: relaxed, GGA-PBE.

* ρ: 3.7 g cm⁻³
* E_form: -1575 meV/atom
* total DFT energy (no corrections): -2.931 eV per atom
* energy with MP2020 corrections: -90.6 eV per cell

a b c (Å): 13.8150 7.9803 6.5291
angles (deg): 90.00 90.00 90.00
Positions (direct):
Li  0.0000  0.0000  0.0000
Li  0.0000  0.5000  0.0000
Li  0.2347  0.2500  0.4948
Li  0.2653  0.7500  0.9948
Li  0.5000  0.0000  0.5000
Li  0.5000  0.5000  0.5000
Li  0.7347  0.2500  0.0052
Li  0.7653  0.7500  0.5052
Zn  0.0876  0.7500  0.5890
Zn  0.4124  0.2500  0.0890
Zn  0.5876  0.7500  0.9110
Zn  0.9124  0.2500  0.4110
Br  0.0735  0.2500  0.2496
Br  0.0893  0.7500  0.2198
Br  0.1664  0.5086  0.7503
Br  0.1664  0.9914  0.7503
Br  0.3336  0.0086  0.2503
Br  0.3336  0.4914  0.2503
Br  0.4107  0.2500  0.7198
Br  0.4265  0.7500  0.7496
Br  0.5735  0.2500  0.2504
Br  0.5893  0.7500  0.2802
Br  0.6664  0.5086  0.7497
Br  0.6664  0.9914  0.7497
Br  0.8336  0.0086  0.2497
Br  0.8336  0.4914  0.2497
Br  0.9107  0.2500  0.7802
Br  0.9265  0.7500  0.7504

---

Record 4
LuBr3: relaxed, GGA-PBE.

* ρ: 4.0 g cm⁻³
* E_form: -2215 meV/atom
* total DFT energy (no corrections): -4.172 eV per atom
* energy with MP2020 corrections: -36.6 eV per cell

a b c (Å): 10.4703 10.4703 3.6491
angles (deg): 90.00 90.00 120.00
Positions (direct):
Lu  0.3333  0.6667  0.2500
Lu  0.6667  0.3333  0.7500
Br  0.2183  0.4365  0.7500
Br  0.2183  0.7817  0.7500
Br  0.4365  0.2183  0.2500
Br  0.5635  0.7817  0.7500
Br  0.7817  0.2183  0.2500
Br  0.7817  0.5635  0.2500

---

Record 5
LuBr3O8: relaxed, GGA-PBE.

* spin magnetization: 8.005 μB per cell
* ρ: 3.9 g cm⁻³
* E_form: -609 meV/atom
* total DFT energy (no corrections): -4.586 eV per atom
* energy with MP2020 corrections: -225.3 eV per cell

a b c (Å): 6.8138 14.0650 9.9802
angles (deg): 90.00 106.38 90.00
Positions (direct):
Lu  0.1020  0.1234  0.2709
Lu  0.1020  0.3766  0.7709
Lu  0.8980  0.6234  0.2291
Lu  0.8980  0.8766  0.7291
Br  0.0982  0.6257  0.9071
Br  0.0982  0.8743  0.4071
Br  0.2388  0.1495  0.9346
Br  0.2388  0.3505  0.4346
Br  0.3384  0.7440  0.6972
Br  0.3384  0.7560  0.1972
Br  0.6616  0.2440  0.8028
Br  0.6616  0.2560  0.3028
Br  0.7612  0.6495  0.5654
Br  0.7612  0.8505  0.0654
Br  0.9018  0.1257  0.5929
Br  0.9018  0.3743  0.0929
O  0.0387  0.1045  0.4744
O  0.0387  0.3955  0.9744
O  0.0461  0.5055  0.4510
O  0.0461  0.9945  0.9510
O  0.1398  0.7228  0.2781
O  0.1398  0.7772  0.7781
O  0.1782  0.5243  0.8344
O  0.1782  0.9757  0.3344
O  0.2197  0.1713  0.1022
O  0.2197  0.3287  0.6022
O  0.2871  0.5350  0.2813
O  0.2871  0.9650  0.7813
O  0.3231  0.2402  0.3792
O  0.3231  0.2598  0.8792
O  0.4077  0.5564  0.2127
O  0.4077  0.9436  0.7127
O  0.5923  0.0564  0.2873
O  0.5923  0.4436  0.7873
O  0.6769  0.7402  0.1208
O  0.6769  0.7598  0.6208
O  0.7129  0.0350  0.2187
O  0.7129  0.4650  0.7187
O  0.7803  0.6713  0.3978
O  0.7803  0.8287  0.8978
O  0.8218  0.0243  0.6656
O  0.8218  0.4757  0.1656
O  0.8602  0.2228  0.2219
O  0.8602  0.2772  0.7219
O  0.9539  0.0055  0.0490
O  0.9539  0.4945  0.5490
O  0.9613  0.6045  0.0256
O  0.9613  0.8955  0.5256

---

Record 6
LuTa6Br13O3: relaxed, GGA-PBE.

* spin magnetization: 0.010 μB per cell
* ρ: 6.2 g cm⁻³
* E_form: -1518 meV/atom
* total DFT energy (no corrections): -6.289 eV per atom
* energy with MP2020 corrections: -586.9 eV per cell

a b c (Å): 28.4549 28.4549 28.4549
angles (deg): 160.76 160.76 27.35
Positions (direct):
Lu  0.0954  0.0954  0.0000
Lu  0.6546  0.1546  0.5000
Lu  0.8454  0.3454  0.5000
Lu  0.9046  0.9046  0.0000
Ta  0.0002  0.0726  0.7001
Ta  0.0294  0.5010  0.7099
Ta  0.0501  0.2502  0.4276
Ta  0.0695  0.2794  0.0284
Ta  0.1008  0.5431  0.7147
Ta  0.1361  0.3508  0.0576
Ta  0.2510  0.0411  0.9716
Ta  0.2931  0.0785  0.9424
Ta  0.3725  0.3001  0.2999
Ta  0.3775  0.1774  0.4276
Ta  0.4569  0.8992  0.2853
Ta  0.4990  0.9706  0.2901
Ta  0.6139  0.1715  0.7147
Ta  0.6492  0.8639  0.9424
Ta  0.6805  0.2089  0.7099
Ta  0.6999  0.6275  0.7001
Ta  0.7206  0.9305  0.9716
Ta  0.7498  0.9499  0.5724
Ta  0.7911  0.3195  0.2901
Ta  0.8226  0.6225  0.5724
Ta  0.8285  0.3861  0.2853
Ta  0.9215  0.7069  0.0576
Ta  0.9274  0.9998  0.2999
Ta  0.9589  0.7490  0.0284
Br  0.0033  0.5033  0.5000
Br  0.0160  0.8251  0.6990
Br  0.0345  0.8530  0.5833
Br  0.0670  0.2660  0.6909
Br  0.0787  0.5787  0.1574
Br  0.0818  0.9092  0.5544
Br  0.0908  0.9182  0.4456
Br  0.1260  0.3170  0.3010
Br  0.1367  0.6175  0.1283
Br  0.1385  0.6250  0.0135
Br  0.1470  0.9655  0.4167
Br  0.1749  0.9840  0.3010
Br  0.2012  0.2845  0.6815
Br  0.2067  0.0087  0.1566
Br  0.2533  0.2533  0.0000
Br  0.2608  0.6325  0.0192
Br  0.2697  0.4512  0.4167
Br  0.2774  0.3318  0.6726
Br  0.3287  0.6713  0.0000
Br  0.3548  0.5274  0.4456
Br  0.3675  0.7392  0.9808
Br  0.3750  0.8615  0.9865
Br  0.3825  0.8633  0.8717
Br  0.3952  0.3408  0.6726
Br  0.4213  0.9213  0.8426
Br  0.4726  0.6452  0.5544
Br  0.4803  0.3970  0.6815
Br  0.4892  0.0084  0.8717
Br  0.4967  0.9967  0.5000
Br  0.5433  0.1999  0.3019
Br  0.5488  0.7303  0.5833
Br  0.5751  0.3760  0.3091
Br  0.6030  0.5197  0.3185
Br  0.6115  0.1250  0.9865
Br  0.6133  0.2416  0.9808
Br  0.6240  0.4249  0.6909
Br  0.6592  0.6048  0.3274
Br  0.6682  0.7226  0.3274
Br  0.6713  0.3287  0.0000
Br  0.6830  0.8740  0.6990
Br  0.7155  0.7988  0.3185
Br  0.7340  0.9330  0.3091
Br  0.7467  0.7467  0.0000
Br  0.7584  0.3867  0.0192
Br  0.7587  0.1021  0.3019
Br  0.8001  0.4567  0.6981
Br  0.8521  0.0501  0.8434
Br  0.8750  0.3885  0.0135
Br  0.8979  0.2413  0.6981
Br  0.9499  0.1479  0.1566
Br  0.9913  0.7933  0.8434
Br  0.9916  0.5108  0.1283
O  0.1336  0.1336  0.0000
O  0.3156  0.0753  0.2141
O  0.4344  0.1485  0.2597
O  0.6164  0.1164  0.5000
O  0.8253  0.1112  0.2597
O  0.8515  0.5656  0.7403
O  0.8612  0.1015  0.7859
O  0.8664  0.8664  0.0000
O  0.8836  0.3836  0.5000
O  0.8888  0.1747  0.7403
O  0.8985  0.1388  0.2141
O  0.9247  0.6844  0.7859

---

Record 7
Mg3Br: relaxed, GGA-PBE.

* spin magnetization: 0.018 μB per cell
* ρ: 2.5 g cm⁻³
* E_form: -258 meV/atom
* total DFT energy (no corrections): -1.734 eV per atom
* energy with MP2020 corrections: -7.5 eV per cell

a b c (Å): 6.1923 6.1923 6.1923
angles (deg): 138.85 138.85 59.60
Positions (direct):
Mg  0.0000  0.0000  0.0000
Mg  0.2500  0.7500  0.5000
Mg  0.7500  0.2500  0.5000
Br  0.5000  0.5000  0.0000

---

Record 8
Mg149Br: relaxed, GGA-PBE.

* spin magnetization: 0.057 μB per cell
* ρ: 1.8 g cm⁻³
* E_form: -30 meV/atom
* total DFT energy (no corrections): -1.627 eV per atom
* energy with MP2020 corrections: -244.5 eV per cell

a b c (Å): 15.9079 15.9079 15.6040
angles (deg): 90.00 90.00 120.00
Positions (direct):
Mg  0.0000  0.0000  0.0000
Mg  0.0000  0.0000  0.3339
Mg  0.0000  0.0000  0.6661
Mg  0.0001  0.2000  0.0000
Mg  0.0003  0.2003  0.3338
Mg  0.0003  0.2003  0.6662
Mg  0.9996  0.4001  0.0000
Mg  0.0000  0.4000  0.3334
Mg  0.0000  0.4000  0.6666
Mg  0.9996  0.5995  0.0000
Mg  0.0000  0.6000  0.3334
Mg  0.0000  0.6000  0.6666
Mg  0.0001  0.8001  0.0000
Mg  0.0003  0.8000  0.3338
Mg  0.0003  0.8000  0.6662
Mg  0.1299  0.4623  0.5000
Mg  0.1299  0.6677  0.5000
Mg  0.1324  0.0662  0.5000
Mg  0.1330  0.0665  0.1671
Mg  0.1330  0.0665  0.8329
Mg  0.1329  0.2658  0.5000
Mg  0.1334  0.2667  0.1672
Mg  0.1334  0.2667  0.8328
Mg  0.1328  0.4661  0.1655
Mg  0.1328  0.4661  0.8345
Mg  0.1328  0.6667  0.1655
Mg  0.1328  0.6667  0.8345
Mg  0.1334  0.8666  0.1672
Mg  0.1329  0.8671  0.5000
Mg  0.1334  0.8666  0.8328
Mg  0.1983  0.5992  0.3300
Mg  0.1983  0.5992  0.6700
Mg  0.1999  0.9999  0.0000
Mg  0.2000  0.9997  0.3338
Mg  0.2000  0.9997  0.6662
Mg  0.1999  0.2000  0.0000
Mg  0.2000  0.2003  0.3338
Mg  0.2000  0.2003  0.6662
Mg  0.1998  0.3996  0.0000
Mg  0.2004  0.4007  0.3330
Mg  0.2004  0.4007  0.6670
Mg  0.2003  0.6001  0.0000
Mg  0.1998  0.8002  0.0000
Mg  0.2004  0.7996  0.3330
Mg  0.2004  0.7996  0.6670
Mg  0.3323  0.4623  0.5000
Mg  0.3323  0.8701  0.5000
Mg  0.3333  0.0669  0.1665
Mg  0.3333  0.0669  0.8335
Mg  0.3333  0.2664  0.1665
Mg  0.3333  0.2664  0.8335
Mg  0.3333  0.4661  0.1655
Mg  0.3333  0.4661  0.8345
Mg  0.3333  0.6667  0.1679
Mg  0.3333  0.6667  0.8321
Mg  0.3333  0.8672  0.1655
Mg  0.3333  0.8672  0.8345
Mg  0.3338  0.0683  0.5000
Mg  0.3338  0.2655  0.5000
Mg  0.4005  0.0004  0.0000
Mg  0.4000  0.0000  0.3334
Mg  0.4000  0.0000  0.6666
Mg  0.4000  0.2000  0.0000
Mg  0.4004  0.2002  0.3331
Mg  0.4004  0.2002  0.6669
Mg  0.4005  0.4001  0.0000
Mg  0.4000  0.4000  0.3334
Mg  0.4000  0.4000  0.6666
Mg  0.3999  0.6001  0.0000
Mg  0.3999  0.7997  0.0000
Mg  0.4008  0.5992  0.3300
Mg  0.4008  0.5992  0.6700
Mg  0.4008  0.8017  0.3300
Mg  0.4008  0.8017  0.6700
Mg  0.5333  0.0665  0.1672
Mg  0.5333  0.0667  0.5000
Mg  0.5333  0.0665  0.8328
Mg  0.5333  0.4667  0.1672
Mg  0.5333  0.4667  0.5000
Mg  0.5333  0.4667  0.8328
Mg  0.5335  0.2668  0.1669
Mg  0.5343  0.2672  0.5000
Mg  0.5335  0.2668  0.8331
Mg  0.5339  0.6667  0.1655
Mg  0.5339  0.6667  0.8345
Mg  0.5339  0.8672  0.1655
Mg  0.5339  0.8672  0.8345
Mg  0.5377  0.6677  0.5000
Mg  0.5377  0.8701  0.5000
Mg  0.5993  0.7996  0.3330
Mg  0.5993  0.7996  0.6670
Mg  0.5999  0.0004  0.0000
Mg  0.6000  0.0000  0.3334
Mg  0.6000  0.0000  0.6666
Mg  0.6000  0.2000  0.0000
Mg  0.5999  0.1999  0.3336
Mg  0.5999  0.1999  0.6664
Mg  0.6000  0.4000  0.0000
Mg  0.5999  0.4001  0.3336
Mg  0.5999  0.4001  0.6664
Mg  0.5999  0.5995  0.0000
Mg  0.6000  0.6000  0.3334
Mg  0.6000  0.6000  0.6666
Mg  0.6004  0.8002  0.0000
Mg  0.7332  0.2668  0.1669
Mg  0.7328  0.2672  0.5000
Mg  0.7332  0.2668  0.8331
Mg  0.7332  0.4665  0.1669
Mg  0.7328  0.4657  0.5000
Mg  0.7332  0.4665  0.8331
Mg  0.7333  0.8666  0.1672
Mg  0.7333  0.8666  0.8328
Mg  0.7336  0.0669  0.1665
Mg  0.7336  0.0669  0.8335
Mg  0.7336  0.6667  0.1665
Mg  0.7336  0.6667  0.8335
Mg  0.7342  0.8671  0.5000
Mg  0.7345  0.0683  0.5000
Mg  0.7345  0.6662  0.5000
Mg  0.8000  0.9999  0.0000
Mg  0.7997  0.9997  0.3338
Mg  0.7997  0.9997  0.6662
Mg  0.8000  0.2000  0.0000
Mg  0.7998  0.2002  0.3331
Mg  0.7998  0.2002  0.6669
Mg  0.8000  0.4000  0.0000
Mg  0.8001  0.4001  0.3336
Mg  0.8001  0.4001  0.6664
Mg  0.8000  0.6000  0.0000
Mg  0.7998  0.5996  0.3331
Mg  0.7998  0.5996  0.6669
Mg  0.8000  0.8001  0.0000
Mg  0.7997  0.8000  0.3338
Mg  0.7997  0.8000  0.6662
Mg  0.9317  0.2655  0.5000
Mg  0.9317  0.6662  0.5000
Mg  0.9335  0.0665  0.1671
Mg  0.9335  0.0665  0.8329
Mg  0.9331  0.2664  0.1665
Mg  0.9331  0.2664  0.8335
Mg  0.9335  0.4667  0.1672
Mg  0.9333  0.4667  0.5000
Mg  0.9335  0.4667  0.8328
Mg  0.9331  0.6667  0.1665
Mg  0.9331  0.6667  0.8335
Mg  0.9335  0.8670  0.1671
Mg  0.9335  0.8670  0.8329
Mg  0.9338  0.0662  0.5000
Mg  0.9338  0.8676  0.5000
Br  0.3333  0.6667  0.5000